{
  "formula": "TbAlCu",
  "functional": "r²SCAN",
  "state": "optimized geometry",
  "cell": [[-4.272, 3.596, -4.255], [-2.684, -4.386, 4.780], [-0.138, 2.988, 2.664]],
  "species": ["Tb", "Cu", "Al", "Al", "Al", "Tb", "Cu", "Cu", "Tb"],
  "frac_coords": [[0.000, 0.585, 0.500], [0.667, 0.333, 0.000], [0.000, 0.232, 0.000], [0.232, 0.000, 0.000], [0.768, 0.768, 0.000], [0.585, 0.000, 0.500], [0.000, 0.000, 0.500], [0.333, 0.667, 0.000], [0.415, 0.415, 0.500]],
  "m_tot_mub_per_fu": 0.00,
  "ef_ev_per_atom": -0.49,
  "crystal_system": "hexagonal"
}

---

{
  "formula": "Tb2InAg",
  "functional": "r²SCAN",
  "state": "optimized geometry",
  "cell": [[3.640, 0.000, 0.000], [0.000, 3.640, 0.000], [0.000, 0.000, 7.641]],
  "species": ["In", "Tb", "Ag", "Tb"],
  "frac_coords": [[0.000, 0.000, 0.500], [0.500, 0.500, 0.764], [0.000, 0.000, 0.000], [0.500, 0.500, 0.236]],
  "m_tot_mub_per_fu": 0.00,
  "ef_ev_per_atom": -0.49,
  "crystal_system": "tetragonal"
}

---

{
  "formula": "USbAs",
  "functional": "r²SCAN",
  "state": "optimized geometry",
  "cell": [[4.153, 0.000, 0.000], [0.000, 4.153, 0.000], [0.000, 0.000, 8.659]],
  "species": ["U", "Sb", "Sb", "As", "U", "As"],
  "frac_coords": [[0.250, 0.250, 0.303], [0.750, 0.250, 0.000], [0.250, 0.750, 0.000], [0.750, 0.750, 0.360], [0.750, 0.750, 0.697], [0.250, 0.250, 0.640]],
  "m_tot_mub_per_fu": 2.04,
  "ef_ev_per_atom": -0.75,
  "crystal_system": "tetragonal"
}

---

{
  "formula": "WSeS",
  "functional": "r²SCAN",
  "state": "optimized geometry",
  "cell": [[-1.625, -2.813, 0.000], [-3.250, 0.000, 0.000], [0.000, 0.002, -13.459]],
  "species": ["Se", "W", "S", "Se", "W", "S"],
  "frac_coords": [[0.667, 0.667, 0.131], [0.666, 0.667, 0.743], [0.333, 0.333, 0.630], [0.333, 0.333, 0.869], [0.334, 0.333, 0.257], [0.667, 0.667, 0.370]],
  "m_tot_mub_per_fu": 0.00,
  "ef_ev_per_atom": -0.73,
  "crystal_system": "trigonal"
}